! GGA-PBE Li5SbS4, optimized geometry; values from VASP
&SYSTEM
  ibrav = 0, nat = 20, ntyp = 3
/
ATOMIC_SPECIES
Li 6.94 Li.upf
Sb 121.76 Sb.upf
S 32.06 S.upf
ATOMIC_POSITIONS crystal
Li 0.1207 0.2434 0.3070
Li 0.2434 0.1207 0.8070
Li 0.1563 0.4148 0.0167
Li 0.4148 0.1563 0.5167
Li 0.8588 0.1412 0.6980
Li 0.1412 0.8588 0.1980
Li 0.8437 0.5852 0.5167
Li 0.5852 0.8437 0.0167
Li 0.8793 0.7566 0.8070
Li 0.7566 0.8793 0.3070
Sb 0.6660 0.3340 0.0948
Sb 0.3340 0.6660 0.5948
S 0.0159 0.5033 0.7665
S 0.5033 0.0159 0.2665
S 0.9783 0.0217 0.0299
S 0.0217 0.9783 0.5299
S 0.5190 0.4810 0.7125
S 0.4810 0.5190 0.2125
S 0.9841 0.4967 0.2665
S 0.4967 0.9841 0.7665
CELL_PARAMETERS angstrom
3.7940 -6.2479 0.0000
3.7940 6.2479 0.0000
0.0000 0.0000 7.9202
! Space group = Cmc2_1, No. 36
! Total energy = -80.82 eV/cell
! Maximum piezoelectric response = 0.693 C/m²